## Mg2Ir3 (meta-GGA r2SCAN)

Data for a relaxed Mg2Ir3 crystal.

abc: 9.656 9.656 8.522
angles: 96.65 96.65 31.14
Atoms (fractional coordinates):
Mg (0.020, 0.020, 0.181)
Mg (0.280, 0.280, 0.084)
Mg (0.291, 0.291, 0.444)
Mg (0.422, 0.422, 0.002)
Mg (0.445, 0.445, 0.616)
Mg (0.555, 0.555, 0.384)
Mg (0.578, 0.578, 0.998)
Mg (0.709, 0.709, 0.556)
Mg (0.720, 0.720, 0.916)
Mg (0.980, 0.980, 0.819)
Ir (0.000, 0.000, 0.500)
Ir (0.082, 0.581, 0.771)
Ir (0.132, 0.132, 0.972)
Ir (0.136, 0.136, 0.466)
Ir (0.176, 0.643, 0.296)
Ir (0.216, 0.216, 0.741)
Ir (0.357, 0.824, 0.704)
Ir (0.419, 0.918, 0.229)
Ir (0.581, 0.082, 0.771)
Ir (0.643, 0.176, 0.296)
Ir (0.784, 0.784, 0.259)
Ir (0.824, 0.357, 0.704)
Ir (0.864, 0.864, 0.534)
Ir (0.868, 0.868, 0.028)
Ir (0.918, 0.419, 0.229)

* E_form: -0.39 eV per atom
* total moment: 0.00 μB per formula unit